Entry 1:
The following is a PBE calculation of a geometry-optimized Cu2Bi8Pb3Se3S13 structure, from the Materials Project.

Energy relative to the elements ... -0.587 eV/atom
Space-group type ... Cm

Cell lengths 13.6398, 13.6398, 16.6578 Å; angles 126.22, 126.22, 17.91 degrees
Sites, in units of the cell vectors:
Cu1 0.0000 0.0000 0.0000
Cu2 0.0932 0.0932 0.9708
Bi1 0.2257 0.2257 0.4653
Bi2 0.3599 0.3599 0.9688
Bi3 0.3968 0.3968 0.2539
Bi4 0.4049 0.4049 0.7553
Bi5 0.6877 0.6877 0.2148
Bi6 0.6963 0.6963 0.7138
Bi7 0.7338 0.7338 0.0010
Bi8 0.8680 0.8680 0.5042
Pb1 0.0175 0.0175 0.2073
Pb2 0.0464 0.0464 0.4778
Pb3 0.0759 0.0759 0.7655
Se1 0.2572 0.2572 0.1331
Se2 0.5650 0.5650 0.6238
Se3 0.8362 0.8362 0.8363
S1 0.1102 0.1102 0.1232
S2 0.1859 0.1859 0.6021
S3 0.2048 0.2048 0.8523
S4 0.2817 0.2817 0.3751
S5 0.4391 0.4391 0.6359
S6 0.4773 0.4773 0.0429
S7 0.5214 0.5214 0.3351
S8 0.6169 0.6169 0.9299
S9 0.6534 0.6534 0.3340
S10 0.8117 0.8117 0.5936
S11 0.8876 0.8876 0.1157
S12 0.9093 0.9093 0.3676
S13 0.9826 0.9826 0.8474



Entry 2:
The following is a PBE calculation of a geometry-optimized TbCoC structure, from the Materials Project.

Energy above the lowest structure with this stoichiometry ... 0 meV/atom
Energy relative to the elements ... -0.300 eV/atom
Space-group type ... P4_2/mmc

Cell lengths 3.6257, 3.6257, 6.9906 Å; angles 90.00, 90.00, 90.00 degrees
Sites, in units of the cell vectors:
Tb1 0.0000 0.0000 0.2500
Tb2 0.0000 0.0000 0.7500
Co1 0.5000 0.5000 0.0000
Co2 0.5000 0.5000 0.5000
C1 0.0000 0.5000 0.0000
C2 0.5000 0.0000 0.5000



Entry 3:
The following is a PBE calculation of a geometry-optimized Mg16Al12Br structure, from the Materials Project.

Energy above the lowest structure with this stoichiometry ... 4 meV/atom
Energy relative to the elements ... -0.025 eV/atom
Space-group type ... I-43m

Cell lengths 9.1736, 9.1736, 9.1736 Å; angles 109.47, 109.47, 109.47 degrees
Sites, in units of the cell vectors:
Mg1 0.0000 0.0000 0.3167
Mg2 0.0000 0.3107 0.5910
Mg3 0.0000 0.3167 0.0000
Mg4 0.0000 0.5910 0.3107
Mg5 0.2803 0.6893 0.6893
Mg6 0.3107 0.0000 0.5910
Mg7 0.3107 0.5910 0.0000
Mg8 0.3167 0.0000 0.0000
Mg9 0.4090 0.4090 0.7197
Mg10 0.4090 0.7197 0.4090
Mg11 0.5910 0.0000 0.3107
Mg12 0.5910 0.3107 0.0000
Mg13 0.6833 0.6833 0.6833
Mg14 0.6893 0.2803 0.6893
Mg15 0.6893 0.6893 0.2803
Mg16 0.7197 0.4090 0.4090
Al1 0.0000 0.6218 0.8116
Al2 0.0000 0.8116 0.6218
Al3 0.1884 0.1884 0.8101
Al4 0.1884 0.8101 0.1884
Al5 0.1899 0.3782 0.3782
Al6 0.3782 0.1899 0.3782
Al7 0.3782 0.3782 0.1899
Al8 0.6218 0.0000 0.8116
Al9 0.6218 0.8116 0.0000
Al10 0.8101 0.1884 0.1884
Al11 0.8116 0.0000 0.6218
Al12 0.8116 0.6218 0.0000
Br1 0.0000 0.0000 0.0000



Computed final energy (eV per atom) in order:
-4.318; -7.290; -2.496